1.
VASP calculation (PBE) on Sc2H6Se3O12 after structural relaxation.

Summary:
Its theoretical density is 2.95 g/cm3. The energy relative to the elements comes out at -1.8587 eV/atom. As for the space-group type: R3c (161).

Cell: 9.043 9.043 9.043 Å, 65.94 65.94 65.94°
Positions (direct):
Sc (0.000, 0.000, 0.000)
Sc (0.234, 0.234, 0.234)
Sc (0.500, 0.500, 0.500)
Sc (0.734, 0.734, 0.734)
H (0.048, 0.726, 0.763)
H (0.054, 0.586, 0.228)
H (0.086, 0.554, 0.728)
H (0.226, 0.548, 0.263)
H (0.228, 0.054, 0.586)
H (0.263, 0.226, 0.548)
H (0.548, 0.263, 0.226)
H (0.554, 0.728, 0.086)
H (0.586, 0.228, 0.054)
H (0.726, 0.763, 0.048)
H (0.728, 0.086, 0.554)
H (0.763, 0.048, 0.726)
Se (0.215, 0.841, 0.301)
Se (0.301, 0.215, 0.841)
Se (0.341, 0.715, 0.801)
Se (0.715, 0.801, 0.341)
Se (0.801, 0.341, 0.715)
Se (0.841, 0.301, 0.215)
O (0.110, 0.196, 0.865)
O (0.149, 0.874, 0.807)
O (0.156, 0.495, 0.252)
O (0.196, 0.865, 0.110)
O (0.240, 0.326, 0.984)
O (0.252, 0.156, 0.495)
O (0.307, 0.374, 0.649)
O (0.326, 0.984, 0.240)
O (0.365, 0.696, 0.610)
O (0.374, 0.649, 0.307)
O (0.484, 0.826, 0.740)
O (0.495, 0.252, 0.156)
O (0.610, 0.365, 0.696)
O (0.649, 0.307, 0.374)
O (0.656, 0.752, 0.995)
O (0.696, 0.610, 0.365)
O (0.740, 0.484, 0.826)
O (0.752, 0.995, 0.656)
O (0.807, 0.149, 0.874)
O (0.826, 0.740, 0.484)
O (0.865, 0.110, 0.196)
O (0.874, 0.807, 0.149)
O (0.984, 0.240, 0.326)
O (0.995, 0.656, 0.752)

---

2.
VASP calculation (PBE) on SmH5Se2O8 after structural relaxation.

Summary:
Its theoretical density is 3.37 g/cm3. The energy relative to the elements comes out at -1.6890 eV/atom. As for the space-group type: P2_12_12_1 (19).

Cell: 6.805 7.208 17.724 Å, 90.00 90.00 90.00°
Positions (direct):
Sm (0.123, 0.098, 0.216)
Sm (0.377, 0.902, 0.716)
Sm (0.623, 0.402, 0.784)
Sm (0.877, 0.598, 0.284)
H (0.018, 0.723, 0.583)
H (0.042, 0.766, 0.990)
H (0.053, 0.421, 0.113)
H (0.100, 0.262, 0.052)
H (0.203, 0.256, 0.928)
H (0.297, 0.744, 0.428)
H (0.400, 0.738, 0.552)
H (0.447, 0.579, 0.613)
H (0.458, 0.234, 0.490)
H (0.482, 0.277, 0.083)
H (0.518, 0.777, 0.417)
H (0.542, 0.734, 0.010)
H (0.553, 0.079, 0.887)
H (0.600, 0.238, 0.948)
H (0.703, 0.244, 0.072)
H (0.797, 0.756, 0.572)
H (0.900, 0.762, 0.448)
H (0.947, 0.921, 0.387)
H (0.958, 0.266, 0.510)
H (0.982, 0.223, 0.917)
Se (0.140, 0.289, 0.404)
Se (0.157, 0.395, 0.730)
Se (0.343, 0.605, 0.230)
Se (0.360, 0.711, 0.904)
Se (0.640, 0.211, 0.596)
Se (0.657, 0.105, 0.270)
Se (0.843, 0.895, 0.770)
Se (0.860, 0.789, 0.096)
O (0.032, 0.894, 0.707)
O (0.056, 0.930, 0.106)
O (0.081, 0.200, 0.498)
O (0.088, 0.096, 0.352)
O (0.088, 0.210, 0.954)
O (0.128, 0.304, 0.105)
O (0.187, 0.778, 0.263)
O (0.192, 0.424, 0.261)
O (0.308, 0.576, 0.761)
O (0.313, 0.222, 0.763)
O (0.372, 0.696, 0.605)
O (0.412, 0.790, 0.454)
O (0.412, 0.904, 0.852)
O (0.419, 0.800, 0.998)
O (0.444, 0.070, 0.606)
O (0.468, 0.106, 0.207)
O (0.532, 0.606, 0.293)
O (0.556, 0.570, 0.894)
O (0.581, 0.300, 0.502)
O (0.588, 0.290, 0.046)
O (0.588, 0.404, 0.648)
O (0.628, 0.196, 0.895)
O (0.687, 0.722, 0.737)
O (0.692, 0.076, 0.739)
O (0.808, 0.924, 0.239)
O (0.813, 0.278, 0.237)
O (0.872, 0.804, 0.395)
O (0.912, 0.596, 0.148)
O (0.912, 0.710, 0.546)
O (0.919, 0.700, 0.002)
O (0.944, 0.430, 0.394)
O (0.968, 0.394, 0.793)

---

3.
VASP calculation (PBE) on Tl2TeH6SeO10 after structural relaxation.

Summary:
Its theoretical density is 4.71 g/cm3. The energy relative to the elements comes out at -1.2699 eV/atom. As for the space-group type: P2_1/c (14).

Cell: 12.786 7.758 11.838 Å, 90.00 110.22 90.00°
Positions (direct):
Tl (0.148, 0.039, 0.390)
Tl (0.148, 0.461, 0.890)
Tl (0.334, 0.523, 0.630)
Tl (0.334, 0.977, 0.130)
Tl (0.666, 0.023, 0.870)
Tl (0.666, 0.477, 0.370)
Tl (0.852, 0.539, 0.110)
Tl (0.852, 0.961, 0.610)
Te (0.000, 0.000, 0.000)
Te (0.000, 0.500, 0.500)
Te (0.500, 0.000, 0.500)
Te (0.500, 0.500, 0.000)
H (0.092, 0.250, 0.126)
H (0.092, 0.250, 0.626)
H (0.107, 0.709, 0.666)
H (0.107, 0.791, 0.166)
H (0.114, 0.508, 0.366)
H (0.114, 0.992, 0.866)
H (0.369, 0.740, 0.893)
H (0.369, 0.760, 0.393)
H (0.389, 0.163, 0.590)
H (0.389, 0.337, 0.090)
H (0.409, 0.607, 0.139)
H (0.409, 0.893, 0.639)
H (0.591, 0.107, 0.361)
H (0.591, 0.393, 0.861)
H (0.611, 0.663, 0.910)
H (0.611, 0.837, 0.410)
H (0.631, 0.240, 0.607)
H (0.631, 0.260, 0.107)
H (0.886, 0.008, 0.134)
H (0.886, 0.492, 0.634)
H (0.893, 0.209, 0.834)
H (0.893, 0.291, 0.334)
H (0.908, 0.750, 0.374)
H (0.908, 0.750, 0.874)
Se (0.248, 0.504, 0.241)
Se (0.248, 0.996, 0.741)
Se (0.752, 0.004, 0.259)
Se (0.752, 0.496, 0.759)
O (0.013, 0.227, 0.073)
O (0.013, 0.273, 0.573)
O (0.115, 0.584, 0.648)
O (0.115, 0.916, 0.148)
O (0.119, 0.063, 0.940)
O (0.119, 0.437, 0.440)
O (0.127, 0.594, 0.242)
O (0.127, 0.906, 0.742)
O (0.227, 0.208, 0.715)
O (0.227, 0.292, 0.215)
O (0.278, 0.592, 0.124)
O (0.278, 0.908, 0.624)
O (0.350, 0.546, 0.369)
O (0.350, 0.954, 0.869)
O (0.363, 0.610, 0.894)
O (0.363, 0.890, 0.394)
O (0.406, 0.192, 0.519)
O (0.406, 0.308, 0.019)
O (0.490, 0.616, 0.142)
O (0.490, 0.884, 0.642)
O (0.510, 0.116, 0.358)
O (0.510, 0.384, 0.858)
O (0.594, 0.692, 0.981)
O (0.594, 0.808, 0.481)
O (0.637, 0.110, 0.606)
O (0.637, 0.390, 0.106)
O (0.650, 0.046, 0.131)
O (0.650, 0.454, 0.631)
O (0.722, 0.092, 0.376)
O (0.722, 0.408, 0.876)
O (0.773, 0.708, 0.785)
O (0.773, 0.792, 0.285)
O (0.873, 0.094, 0.258)
O (0.873, 0.406, 0.758)
O (0.881, 0.563, 0.560)
O (0.881, 0.937, 0.060)
O (0.885, 0.084, 0.852)
O (0.885, 0.416, 0.352)
O (0.987, 0.727, 0.427)
O (0.987, 0.773, 0.927)

---

4.
VASP calculation (PBE) on UTlHSe2O8 after structural relaxation.

Summary:
Its theoretical density is 5.35 g/cm3. The energy relative to the elements comes out at -1.9913 eV/atom. As for the space-group type: P2_1/c (14).

Cell: 8.563 10.403 12.742 Å, 90.00 127.14 90.00°
Positions (direct):
U (0.190, 0.209, 0.316)
U (0.190, 0.291, 0.816)
U (0.810, 0.709, 0.184)
U (0.810, 0.791, 0.684)
Tl (0.267, 0.552, 0.546)
Tl (0.267, 0.948, 0.046)
Tl (0.733, 0.052, 0.954)
Tl (0.733, 0.448, 0.454)
H (0.410, 0.646, 0.169)
H (0.410, 0.854, 0.669)
H (0.590, 0.146, 0.331)
H (0.590, 0.354, 0.831)
Se (0.192, 0.526, 0.185)
Se (0.192, 0.974, 0.685)
Se (0.290, 0.622, 0.905)
Se (0.290, 0.878, 0.405)
Se (0.710, 0.122, 0.595)
Se (0.710, 0.378, 0.095)
Se (0.808, 0.026, 0.315)
Se (0.808, 0.474, 0.815)
O (0.070, 0.675, 0.867)
O (0.070, 0.825, 0.367)
O (0.114, 0.605, 0.264)
O (0.114, 0.895, 0.764)
O (0.180, 0.198, 0.933)
O (0.180, 0.302, 0.433)
O (0.189, 0.107, 0.198)
O (0.189, 0.393, 0.698)
O (0.288, 0.033, 0.455)
O (0.288, 0.467, 0.955)
O (0.325, 0.099, 0.789)
O (0.325, 0.401, 0.289)
O (0.396, 0.631, 0.241)
O (0.396, 0.869, 0.741)
O (0.451, 0.697, 0.056)
O (0.451, 0.803, 0.556)
O (0.549, 0.197, 0.444)
O (0.549, 0.303, 0.944)
O (0.604, 0.131, 0.259)
O (0.604, 0.369, 0.759)
O (0.675, 0.599, 0.711)
O (0.675, 0.901, 0.211)
O (0.712, 0.533, 0.045)
O (0.712, 0.967, 0.545)
O (0.811, 0.607, 0.302)
O (0.811, 0.893, 0.802)
O (0.820, 0.698, 0.567)
O (0.820, 0.802, 0.067)
O (0.886, 0.105, 0.236)
O (0.886, 0.395, 0.736)
O (0.930, 0.175, 0.633)
O (0.930, 0.325, 0.133)